First-principles (PBE) data for an optimized crystal structure of PrZrO14, as listed in Materials Project.

The magnetization is 0.001 μB per atom.

The structure belongs to space group Fd-3m (No. 227, origin choice 2); the cell edges are 10.9687, 10.9687 and 10.9687 Å and the angles 90.00°, 90.00° and 90.00°. The inequivalent atoms are Pr at (0.1250, 0.1250, 0.1250), Zr at (0.1250, 0.1250, 0.6250), O at (0.0000, 0.0000, 0.0000) and O at (0.0308, 0.0308, 0.3711).

---

First-principles (PBE) data for an optimized crystal structure of Pr2Zr2O7, as listed in Materials Project.

The structure belongs to space group Fd-3m (No. 227, origin choice 2); the cell edges are 10.8403, 10.8403 and 10.8403 Å and the angles 90.00°, 90.00° and 90.00°. The inequivalent atoms are Pr at (0.0000, 0.0000, 0.0000), Zr at (0.0000, 0.0000, 0.5000), O at (0.0843, 0.3750, 0.8750) and O at (0.1250, 0.1250, 0.1250).

---

Calculated total energy? In order: -5.23; -8.97 eV/atom.